Material: Zr2As3S
Method: DFT, PBE
State: optimized geometry

Cell and atoms, written as extended XYZ:
```
6
Lattice="3.7807 0.0000 0.0000 0.0000 3.7807 0.0000 0.0000 0.0000 8.0263" Properties=species:S:1:pos:R:3 pbc="T T T"
Zr 0.0000 0.0000 0.0000
Zr 1.8903 1.8903 3.6789
As 0.0000 1.8903 5.8457
As 1.8903 0.0000 5.8457
As 1.8903 1.8903 0.8720
S 0.0000 0.0000 2.8486
```

Output
As for the calculated formation energy: -6.27 eV/f.u. The value obtained for the calculated total energy is -6.83 eV per atom.